No. 1
This record from Materials Project describes an optimized crystal structure of Sm3Tl5. The functional is PBE.

**Formation energy**: -0.3475 eV per atom
**Crystal system**: orthorhombic

a b c (Å): 10.416 8.285 10.550
angles (deg): 90.00 90.00 90.00
Space group Cmcm (No. 63)
Asymmetric unit:
1 Sm 0.000 0.125 0.250 x4
2 Sm 0.202 0.500 0.000 x8
3 Tl 0.000 0.194 0.550 x8
4 Tl 0.000 0.497 0.750 x4
5 Tl 0.226 0.215 0.750 x8

---

No. 2
This record from Materials Project describes an optimized crystal structure of PuNp3. The functional is PBE.

**Formation energy**: 0.4590 eV per atom
**Crystal system**: cubic

a b c (Å): 6.512 6.512 6.512
angles (deg): 90.00 90.00 90.00
Space group Fm-3m (No. 225)
Asymmetric unit:
1 Pu 0.000 0.000 0.000 x4
2 Np 0.000 0.000 0.500 x4
3 Np 0.250 0.250 0.250 x8

---

No. 3
This record from Materials Project describes an optimized crystal structure of Na8Ca2Nb2Si5SO24. The functional is PBE.

**E (MP2020)**: -904.4 eV per cell
**Formation energy**: -2.7777 eV per atom
**Crystal system**: triclinic

a b c (Å): 9.375 9.396 22.819
angles (deg): 90.48 90.39 119.85
Space group P1 (No. 1)
Asymmetric unit:
1 Na 0.000 0.000 0.000 x1
2 Na 0.001 0.358 0.232 x1
3 Na 0.025 0.700 0.146 x1
4 Na 0.030 0.075 0.652 x1
5 Na 0.040 0.743 0.492 x1
6 Na 0.307 0.701 0.646 x1
7 Na 0.318 0.354 0.142 x1
8 Na 0.342 0.046 0.071 x1
9 Na 0.351 0.041 0.563 x1
10 Na 0.364 0.426 0.827 x1
11 Na 0.371 0.691 0.325 x1
12 Na 0.376 0.359 0.484 x1
13 Na 0.389 0.736 0.991 x1
14 Na 0.632 0.024 0.484 x1
15 Na 0.653 0.387 0.999 x1
16 Na 0.664 0.706 0.400 x1
17 Na 0.683 0.708 0.910 x1
18 Na 0.696 0.406 0.316 x1
19 Na 0.708 0.352 0.651 x1
20 Na 0.717 0.092 0.151 x1
21 Na 0.719 0.023 0.819 x1
22 Na 0.956 0.669 0.820 x1
23 Na 0.972 0.038 0.311 x1
24 Na 0.999 0.375 0.738 x1
25 Ca 0.013 0.373 0.084 x1
26 Ca 0.014 0.375 0.590 x1
27 Ca 0.352 0.046 0.422 x1
28 Ca 0.684 0.710 0.762 x1
29 Ca 0.684 0.712 0.252 x1
30 Ca 0.692 0.706 0.054 x1
31 Nb 0.010 0.363 0.394 x1
32 Nb 0.012 0.372 0.888 x1
33 Nb 0.344 0.027 0.723 x1
34 Nb 0.348 0.043 0.925 x1
35 Nb 0.363 0.070 0.225 x1
36 Nb 0.697 0.729 0.551 x1
37 Si 0.014 0.075 0.494 x1
38 Si 0.025 0.677 0.988 x1
39 Si 0.066 0.053 0.823 x1
40 Si 0.310 0.370 0.987 x1
41 Si 0.317 0.668 0.493 x1
42 Si 0.335 0.742 0.826 x1
43 Si 0.341 0.349 0.329 x1
44 Si 0.638 0.322 0.824 x1
45 Si 0.653 0.046 0.328 x1
46 Si 0.675 0.003 0.661 x1
47 Si 0.684 0.405 0.159 x1
48 Si 0.713 0.080 0.987 x1
49 Si 0.720 0.385 0.493 x1
50 Si 0.982 0.715 0.660 x1
51 Si 0.996 0.016 0.160 x1
52 S 0.055 0.738 0.324 x1
53 S 0.378 0.720 0.159 x1
54 S 0.393 0.409 0.657 x1
55 O 0.009 0.546 0.932 x1
56 O 0.024 0.570 0.654 x1
57 O 0.037 0.206 0.157 x1
58 O 0.047 0.176 0.553 x1
59 O 0.047 0.573 0.326 x1
60 O 0.056 0.225 0.826 x1
61 O 0.074 0.620 0.047 x1
62 O 0.127 0.831 0.378 x1
63 O 0.151 0.026 0.483 x1
64 O 0.159 0.826 0.272 x1
65 O 0.160 0.346 0.330 x1
66 O 0.161 0.898 0.662 x1
67 O 0.162 0.564 0.827 x1
68 O 0.173 0.041 0.878 x1
69 O 0.179 0.016 0.172 x1
70 O 0.185 0.070 0.765 x1
71 O 0.185 0.864 0.976 x1
72 O 0.194 0.381 0.931 x1
73 O 0.206 0.536 0.435 x1
74 O 0.207 0.326 0.046 x1
75 O 0.212 0.574 0.154 x1
76 O 0.218 0.595 0.552 x1
77 O 0.224 0.383 0.652 x1
78 O 0.316 0.843 0.766 x1
79 O 0.327 0.221 0.270 x1
80 O 0.336 0.208 0.977 x1
81 O 0.345 0.850 0.484 x1
82 O 0.352 0.865 0.879 x1
83 O 0.361 0.871 0.166 x1
84 O 0.364 0.265 0.385 x1
85 O 0.386 0.244 0.658 x1
86 O 0.457 0.700 0.212 x1
87 O 0.467 0.503 0.711 x1
88 O 0.479 0.746 0.106 x1
89 O 0.484 0.538 0.984 x1
90 O 0.494 0.531 0.320 x1
91 O 0.495 0.008 0.661 x1
92 O 0.495 0.496 0.604 x1
93 O 0.495 0.722 0.825 x1
94 O 0.497 0.668 0.497 x1
95 O 0.510 0.210 0.168 x1
96 O 0.523 0.218 0.879 x1
97 O 0.527 0.057 0.976 x1
98 O 0.535 0.234 0.486 x1
99 O 0.538 0.200 0.765 x1
100 O 0.541 0.066 0.272 x1
101 O 0.548 0.013 0.386 x1
102 O 0.630 0.466 0.101 x1
103 O 0.652 0.499 0.824 x1
104 O 0.656 0.877 0.601 x1
105 O 0.689 0.897 0.320 x1
106 O 0.692 0.919 0.718 x1
107 O 0.696 0.499 0.220 x1
108 O 0.701 0.903 0.984 x1
109 O 0.720 0.565 0.497 x1
110 O 0.772 0.185 0.047 x1
111 O 0.794 0.355 0.552 x1
112 O 0.820 0.332 0.827 x1
113 O 0.828 0.899 0.495 x1
114 O 0.831 0.229 0.331 x1
115 O 0.832 0.186 0.656 x1
116 O 0.842 0.193 0.932 x1
117 O 0.842 0.378 0.156 x1
118 O 0.851 0.405 0.436 x1
119 O 0.856 0.682 0.984 x1
120 O 0.873 0.682 0.717 x1
121 O 0.874 0.739 0.601 x1
122 O 0.886 0.713 0.318 x1
123 O 0.886 0.937 0.217 x1
124 O 0.887 0.892 0.825 x1
125 O 0.928 0.904 0.100 x1
126 O 0.985 0.179 0.437 x1

---

No. 4
This record from Materials Project describes an optimized crystal structure of MnGeP2. The functional is PBE.

**Formation energy**: -0.0196 eV per atom
**Crystal system**: tetragonal

a b c (Å): 5.453 5.453 10.780
angles (deg): 90.00 90.00 90.00
Space group I-42d (No. 122)
Asymmetric unit:
1 Mn 0.000 0.000 0.000 x4
2 Ge 0.000 0.000 0.500 x4
3 P 0.235 0.750 0.125 x8

---

No. 5
This record from Materials Project describes an optimized crystal structure of Na10La4Sc4Si5S7O48. The functional is PBE.

**E (MP2020)**: -1705.8 eV per cell
**Formation energy**: -2.7786 eV per atom
**Crystal system**: triclinic

a b c (Å): 9.362 16.234 23.719
angles (deg): 90.58 90.05 90.09
Space group P1 (No. 1)
Asymmetric unit:
1 Na 0.000 0.000 0.000 x1
2 Na 0.001 0.655 0.341 x1
3 Na 0.118 0.496 0.498 x1
4 Na 0.120 0.157 0.850 x1
5 Na 0.127 0.812 0.847 x1
6 Na 0.159 0.142 0.160 x1
7 Na 0.160 0.472 0.831 x1
8 Na 0.281 0.658 0.422 x1
9 Na 0.287 0.329 0.751 x1
10 Na 0.301 0.978 0.081 x1
11 Na 0.312 0.985 0.587 x1
12 Na 0.318 0.336 0.249 x1
13 Na 0.345 0.666 0.930 x1
14 Na 0.430 0.475 0.329 x1
15 Na 0.447 0.139 0.658 x1
16 Na 0.473 0.804 0.333 x1
17 Na 0.506 0.166 0.345 x1
18 Na 0.610 0.004 0.502 x1
19 Na 0.670 0.640 0.162 x1
20 Na 0.675 0.968 0.835 x1
21 Na 0.777 0.833 0.759 x1
22 Na 0.781 0.494 0.094 x1
23 Na 0.782 0.159 0.417 x1
24 Na 0.805 0.489 0.581 x1
25 Na 0.814 0.152 0.916 x1
26 Na 0.824 0.831 0.248 x1
27 Na 0.942 0.972 0.324 x1
28 Na 0.946 0.642 0.656 x1
29 Na 0.955 0.309 0.993 x1
30 Na 0.975 0.311 0.338 x1
31 La 0.301 0.319 0.599 x1
32 La 0.304 0.967 0.234 x1
33 La 0.307 0.967 0.741 x1
34 La 0.308 0.979 0.430 x1
35 La 0.323 0.649 0.772 x1
36 La 0.793 0.151 0.568 x1
37 La 0.798 0.490 0.945 x1
38 La 0.803 0.815 0.602 x1
39 La 0.804 0.145 0.069 x1
40 La 0.808 0.142 0.774 x1
41 La 0.814 0.804 0.408 x1
42 La 0.823 0.474 0.739 x1
43 Sc 0.289 0.633 0.268 x1
44 Sc 0.293 0.638 0.569 x1
45 Sc 0.296 0.979 0.940 x1
46 Sc 0.298 0.310 0.909 x1
47 Sc 0.312 0.316 0.107 x1
48 Sc 0.320 0.315 0.402 x1
49 Sc 0.330 0.637 0.070 x1
50 Sc 0.788 0.805 0.907 x1
51 Sc 0.795 0.468 0.239 x1
52 Sc 0.798 0.141 0.269 x1
53 Sc 0.812 0.815 0.105 x1
54 Sc 0.816 0.481 0.432 x1
55 Si 0.001 0.973 0.846 x1
56 Si 0.096 0.477 0.336 x1
57 Si 0.156 0.499 0.672 x1
58 Si 0.157 0.818 0.335 x1
59 Si 0.169 0.166 0.007 x1
60 Si 0.452 0.163 0.501 x1
61 Si 0.456 0.832 0.846 x1
62 Si 0.458 0.497 0.172 x1
63 Si 0.620 0.982 0.338 x1
64 Si 0.645 0.992 0.671 x1
65 Si 0.657 0.672 0.012 x1
66 Si 0.661 0.333 0.337 x1
67 Si 0.948 0.995 0.170 x1
68 Si 0.960 0.650 0.506 x1
69 Si 0.969 0.329 0.848 x1
70 S 0.004 0.318 0.494 x1
71 S 0.010 0.647 0.169 x1
72 S 0.096 0.812 0.004 x1
73 S 0.116 0.147 0.671 x1
74 S 0.147 0.139 0.334 x1
75 S 0.161 0.791 0.667 x1
76 S 0.171 0.458 0.007 x1
77 S 0.444 0.131 0.844 x1
78 S 0.460 0.784 0.169 x1
79 S 0.461 0.467 0.498 x1
80 S 0.486 0.808 0.504 x1
81 S 0.493 0.472 0.840 x1
82 S 0.499 0.155 0.174 x1
83 S 0.587 0.314 0.004 x1
84 S 0.607 0.643 0.665 x1
85 S 0.646 0.301 0.673 x1
86 S 0.653 0.619 0.333 x1
87 S 0.656 0.953 0.003 x1
88 S 0.954 0.638 0.837 x1
89 S 0.959 0.298 0.173 x1
90 S 0.962 0.969 0.502 x1
91 O 0.002 0.791 0.666 x1
92 O 0.004 0.497 0.395 x1
93 O 0.011 0.460 0.007 x1
94 O 0.013 0.803 0.951 x1
95 O 0.021 0.149 0.622 x1
96 O 0.033 0.152 0.725 x1
97 O 0.084 0.330 0.548 x1
98 O 0.095 0.656 0.223 x1
99 O 0.098 0.959 0.790 x1
100 O 0.105 0.314 0.446 x1
101 O 0.108 0.638 0.121 x1
102 O 0.110 0.990 0.901 x1
103 O 0.112 0.645 0.835 x1
104 O 0.117 0.978 0.503 x1
105 O 0.120 0.301 0.169 x1
106 O 0.124 0.996 0.171 x1
107 O 0.138 0.638 0.512 x1
108 O 0.147 0.323 0.849 x1
109 O 0.161 0.084 0.383 x1
110 O 0.164 0.889 0.286 x1
111 O 0.184 0.891 0.001 x1
112 O 0.189 0.740 0.013 x1
113 O 0.198 0.560 0.327 x1
114 O 0.199 0.755 0.722 x1
115 O 0.200 0.542 0.733 x1
116 O 0.203 0.396 0.344 x1
117 O 0.205 0.072 0.670 x1
118 O 0.205 0.224 0.952 x1
119 O 0.212 0.404 0.054 x1
120 O 0.212 0.556 0.618 x1
121 O 0.213 0.221 0.345 x1
122 O 0.215 0.220 0.672 x1
123 O 0.217 0.739 0.620 x1
124 O 0.218 0.103 0.284 x1
125 O 0.218 0.875 0.662 x1
126 O 0.221 0.406 0.669 x1
127 O 0.222 0.216 0.065 x1
128 O 0.224 0.422 0.953 x1
129 O 0.229 0.542 0.013 x1
130 O 0.230 0.071 0.002 x1
131 O 0.236 0.857 0.391 x1
132 O 0.241 0.731 0.322 x1
133 O 0.365 0.745 0.845 x1
134 O 0.381 0.891 0.895 x1
135 O 0.383 0.215 0.853 x1
136 O 0.385 0.405 0.160 x1
137 O 0.385 0.549 0.505 x1
138 O 0.386 0.101 0.789 x1
139 O 0.386 0.538 0.229 x1
140 O 0.387 0.069 0.501 x1
141 O 0.388 0.424 0.450 x1
142 O 0.391 0.544 0.840 x1
143 O 0.397 0.222 0.448 x1
144 O 0.397 0.733 0.513 x1
145 O 0.399 0.739 0.120 x1
146 O 0.400 0.884 0.504 x1
147 O 0.401 0.083 0.175 x1
148 O 0.401 0.869 0.167 x1
149 O 0.402 0.075 0.890 x1
150 O 0.405 0.397 0.844 x1
151 O 0.408 0.231 0.171 x1
152 O 0.411 0.206 0.563 x1
153 O 0.422 0.741 0.222 x1
154 O 0.426 0.561 0.119 x1
155 O 0.440 0.419 0.550 x1
156 O 0.447 0.881 0.786 x1
157 O 0.470 0.994 0.667 x1
158 O 0.479 0.661 0.014 x1
159 O 0.485 0.321 0.347 x1
160 O 0.488 0.299 0.673 x1
161 O 0.494 0.626 0.329 x1
162 O 0.499 0.315 0.056 x1
163 O 0.499 0.316 0.953 x1
164 O 0.499 0.964 0.000 x1
165 O 0.502 0.967 0.289 x1
166 O 0.505 0.644 0.617 x1
167 O 0.530 0.649 0.719 x1
168 O 0.536 0.002 0.398 x1
169 O 0.562 0.798 0.449 x1
170 O 0.577 0.470 0.787 x1
171 O 0.587 0.148 0.122 x1
172 O 0.587 0.484 0.889 x1
173 O 0.591 0.160 0.225 x1
174 O 0.592 0.819 0.549 x1
175 O 0.603 0.136 0.843 x1
176 O 0.614 0.479 0.489 x1
177 O 0.620 0.788 0.166 x1
178 O 0.628 0.152 0.496 x1
179 O 0.629 0.821 0.853 x1
180 O 0.635 0.495 0.178 x1
181 O 0.675 0.393 0.282 x1
182 O 0.680 0.239 0.002 x1
183 O 0.686 0.387 0.007 x1
184 O 0.687 0.571 0.384 x1
185 O 0.693 0.048 0.615 x1
186 O 0.693 0.255 0.723 x1
187 O 0.693 0.566 0.663 x1
188 O 0.695 0.906 0.054 x1
189 O 0.696 0.039 0.730 x1
190 O 0.699 0.721 0.954 x1
191 O 0.700 0.387 0.673 x1
192 O 0.702 0.262 0.621 x1
193 O 0.707 0.714 0.665 x1
194 O 0.711 0.705 0.338 x1
195 O 0.715 0.912 0.951 x1
196 O 0.717 0.581 0.282 x1
197 O 0.717 0.900 0.671 x1
198 O 0.719 0.066 0.328 x1
199 O 0.719 0.721 0.067 x1
200 O 0.722 0.900 0.340 x1
201 O 0.728 0.036 0.004 x1
202 O 0.729 0.579 0.012 x1
203 O 0.732 0.241 0.327 x1
204 O 0.741 0.380 0.390 x1
205 O 0.874 0.903 0.165 x1
206 O 0.885 0.048 0.225 x1
207 O 0.889 0.051 0.503 x1
208 O 0.890 0.557 0.499 x1
209 O 0.895 0.605 0.784 x1
210 O 0.895 0.721 0.847 x1
211 O 0.897 0.695 0.562 x1
212 O 0.898 0.056 0.843 x1
213 O 0.899 0.382 0.181 x1
214 O 0.900 0.264 0.119 x1
215 O 0.901 0.891 0.853 x1
216 O 0.906 0.373 0.905 x1
217 O 0.908 0.235 0.841 x1
218 O 0.910 0.928 0.449 x1
219 O 0.912 0.393 0.490 x1
220 O 0.912 0.574 0.174 x1
221 O 0.917 0.049 0.112 x1
222 O 0.917 0.242 0.495 x1
223 O 0.917 0.921 0.551 x1
224 O 0.918 0.723 0.165 x1
225 O 0.922 0.581 0.884 x1
226 O 0.924 0.243 0.221 x1
227 O 0.937 0.702 0.448 x1
228 O 0.944 0.390 0.793 x1
229 O 0.979 0.461 0.286 x1
230 O 0.979 0.501 0.667 x1
231 O 0.984 0.800 0.340 x1
232 O 0.989 0.162 0.005 x1
233 O 0.991 0.152 0.325 x1
234 O 0.996 0.826 0.053 x1